A relaxed structure of NaSnGeP3O12. Source: the Materials Project database, functional GGA-PBE.

abc: 8.5514 8.5514 22.2422
angles: 90.00 90.00 120.00
Last column: nearest neighbours and their distance in Å.
Atoms (fractional coordinates):
P: 0.7149 0.7069 0.2490  4 O 1.53-1.55
P: 0.9595 0.3335 0.5841  4 O 1.53-1.54
P: 0.6584 0.0476 0.0809  4 O 1.54-1.56
P: 0.7063 0.9917 0.7556  4 O 1.54-1.55
P: 0.3333 0.9536 0.9175  4 O 1.55-1.56
P: 0.9921 0.2851 0.2490  4 O 1.53-1.55
P: 0.6352 0.9606 0.4142  4 O 1.53-1.54
P: 0.0464 0.3798 0.9175  4 O 1.55-1.56
P: 0.2931 0.0079 0.2490  4 O 1.53-1.55
P: 0.0394 0.6746 0.4142  4 O 1.53-1.54
P: 0.3254 0.3648 0.4142  4 O 1.53-1.54
P: 0.6665 0.6260 0.5841  4 O 1.53-1.54
P: 0.2855 0.2937 0.7556  4 O 1.54-1.55
P: 0.3891 0.3416 0.0809  4 O 1.54-1.56
P: 0.3740 0.0405 0.5841  4 O 1.53-1.54
P: 0.9524 0.6109 0.0809  4 O 1.54-1.56
P: 0.6202 0.6667 0.9175  4 O 1.55-1.56
P: 0.0083 0.7145 0.7556  4 O 1.54-1.55
O: 0.8319 0.0291 0.8100  1 P 1.54
O: 0.9709 0.8028 0.8100  1 P 1.54
O: 0.1990 0.1719 0.0850  1 P 1.55
O: 0.1184 0.6335 0.3589  1 P 1.53
O: 0.7762 0.9553 0.6964  1 P 1.54
O: 0.8724 0.4989 0.1394  1 P 1.56
O: 0.7006 0.5193 0.2422  1 P 1.55
O: 0.5391 0.7058 0.9739  1 P 1.55
O: 0.8558 0.3598 0.9244  1 P 1.56
O: 0.6955 0.1657 0.0244  1 P 1.54
O: 0.0447 0.8208 0.6964  1 P 1.54
O: 0.1972 0.1681 0.8100  1 P 1.54
O: 0.3043 0.4821 0.7629  1 P 1.55
O: 0.1272 0.4990 0.8609  1 P 1.55
O: 0.9764 0.1636 0.5887  1 P 1.53
O: 0.1526 0.7114 0.4719  1 P 1.54
O: 0.7880 0.8207 0.1920  1 P 1.53
O: 0.0254 0.8464 0.4061  1 P 1.54
O: 0.8512 0.5068 0.4195  1 P 1.53
O: 0.3708 0.5130 0.0743  1 P 1.56
O: 0.8281 0.0271 0.0850  1 P 1.55
O: 0.6333 0.5131 0.6415  1 P 1.54
O: 0.0265 0.1891 0.9100  1 P 1.56
O: 0.1871 0.0236 0.5887  1 P 1.53
O: 0.1536 0.1789 0.4061  1 P 1.54
O: 0.6402 0.4960 0.9244  1 P 1.56
O: 0.5040 0.1442 0.9244  1 P 1.56
O: 0.5151 0.8816 0.3589  1 P 1.53
O: 0.4807 0.1813 0.2422  1 P 1.55
O: 0.8371 0.5260 0.7509  1 P 1.55
O: 0.1792 0.2238 0.6964  1 P 1.54
O: 0.8109 0.8374 0.9100  1 P 1.56
O: 0.2942 0.8333 0.9739  1 P 1.55
O: 0.5587 0.8474 0.4719  1 P 1.54
O: 0.5249 0.6836 0.2544  1 P 1.54
O: 0.5011 0.3735 0.1394  1 P 1.56
O: 0.3718 0.8728 0.8609  1 P 1.55
O: 0.6555 0.1488 0.4195  1 P 1.53
O: 0.8364 0.8129 0.5887  1 P 1.53
O: 0.4932 0.3445 0.4195  1 P 1.53
O: 0.3164 0.8413 0.2544  1 P 1.54
O: 0.5179 0.8222 0.7629  1 P 1.55
O: 0.8211 0.9746 0.4061  1 P 1.54
O: 0.5010 0.6282 0.8609  1 P 1.55
O: 0.2073 0.0398 0.3059  1 P 1.55
O: 0.4740 0.3111 0.7509  1 P 1.55
O: 0.8484 0.3001 0.5266  1 P 1.53
O: 0.4869 0.1202 0.6415  1 P 1.54
O: 0.1778 0.6957 0.7629  1 P 1.55
O: 0.1462 0.5037 0.5792  1 P 1.54
O: 0.9729 0.8010 0.0850  1 P 1.55
O: 0.1423 0.6292 0.0743  1 P 1.56
O: 0.1667 0.4609 0.9739  1 P 1.55
O: 0.9602 0.1676 0.3059  1 P 1.55
O: 0.6265 0.1276 0.1394  1 P 1.56
O: 0.4702 0.3045 0.0244  1 P 1.54
O: 0.8343 0.5298 0.0244  1 P 1.54
O: 0.1626 0.9735 0.9100  1 P 1.56
O: 0.8798 0.3667 0.6415  1 P 1.54
O: 0.4870 0.8577 0.0743  1 P 1.56
O: 0.4963 0.6425 0.5792  1 P 1.54
O: 0.1793 0.9673 0.1920  1 P 1.53
O: 0.1587 0.4751 0.2544  1 P 1.54
O: 0.6889 0.1629 0.7509  1 P 1.55
O: 0.2886 0.4413 0.4719  1 P 1.54
O: 0.8187 0.2994 0.2422  1 P 1.55
O: 0.8324 0.7927 0.3059  1 P 1.55
O: 0.3575 0.8538 0.5792  1 P 1.54
O: 0.6999 0.5484 0.5266  1 P 1.53
O: 0.3665 0.4849 0.3589  1 P 1.53
O: 0.0327 0.2120 0.1920  1 P 1.53
O: 0.4516 0.1516 0.5266  1 P 1.53
Na: 0.3333 0.6667 0.6686  6 O 2.50-2.56
Na: 0.6667 0.3333 0.3316  6 O 2.47-2.48
Na: 0.0000 0.0000 0.9981  6 O 2.48-2.51
Na: 0.3333 0.6667 0.1648  6 O 2.51-2.54
Na: 0.0000 0.0000 0.4988  6 O 2.51
Na: 0.6667 0.3333 0.8362  6 O 2.46-2.48
Sn: 0.3333 0.6667 0.5173  6 O 2.04
Sn: 0.0000 0.0000 0.1432  6 O 2.01-2.06
Sn: 0.0000 0.0000 0.6503  6 O 2.03-2.04
Sn: 0.3333 0.6667 0.3124  6 O 2.00-2.03
Sn: 0.6667 0.3333 0.4798  6 O 2.01-2.04
Sn: 0.6667 0.3333 0.6904  6 O 2.02-2.06
Ge: 0.0000 0.0000 0.3503  6 O 1.90-1.91
Ge: 0.6667 0.3333 0.9789  6 O 1.87-1.94
Ge: 0.3333 0.6667 0.0190  6 O 1.90-1.94
Ge: 0.0000 0.0000 0.8555  6 O 1.87-1.94
Ge: 0.6667 0.3333 0.1857  6 O 1.92-1.93
Ge: 0.3333 0.6667 0.8171  6 O 1.89-1.90

Results
formation energy from the elements: -2.490 eV/atom
energy: -6.7854 eV/atom
E (MP2020): -7.243 eV per atom
V: 1408.6 Å³ per cell